# 1
# PBE with a Hubbard U CrP4O12, optimized geometry
data_CrP4O12
_cell_length_a 7.331
_cell_length_b 7.332
_cell_length_c 9.800
_cell_angle_alpha 83.53
_cell_angle_beta 67.85
_cell_angle_gamma 110.22
_symmetry_space_group_name_H-M 'P 1'
_symmetry_Int_Tables_number 1
_symmetry_space_group_name_Hall 'P 1'
loop_
_atom_site_label
_atom_site_type_symbol
_atom_site_fract_x
_atom_site_fract_y
_atom_site_fract_z
P1 P 0.264 0.728 0.470
O1 O 0.295 0.689 0.835
O2 O 0.501 0.858 0.404
O3 O 0.211 0.511 0.570
O4 O 0.693 0.811 0.645
O5 O 0.418 0.219 0.070
O6 O 0.199 0.668 0.335
O7 O 0.801 0.332 0.665
Cr1 Cr 0.000 0.500 0.000
O8 O 0.499 0.142 0.596
O9 O 0.103 0.805 0.565
O10 O 0.582 0.781 0.930
O11 O 0.897 0.195 0.435
P2 P 0.736 0.272 0.530
O12 O 0.129 0.332 0.065
Cr2 Cr 0.000 0.000 0.500
O13 O 0.956 0.338 0.855
P3 P 0.998 0.318 0.697
O14 O 0.763 0.906 0.096
O15 O 0.871 0.668 0.935
O16 O 0.307 0.189 0.355
O17 O 0.237 0.094 0.904
P4 P 0.302 0.267 0.970
O18 O 0.789 0.489 0.430
P5 P 0.002 0.682 0.303
O19 O 0.024 0.131 0.665
O20 O 0.498 0.467 0.835
O21 O 0.976 0.869 0.335
P6 P 0.515 0.694 0.803
O22 O 0.502 0.533 0.165
O23 O 0.705 0.311 0.165
P7 P 0.485 0.306 0.197
O24 O 0.044 0.662 0.145
P8 P 0.698 0.733 0.030
# energy above the most stable polymorph in this dataset = 19 meV/atom
# ΔE_f = -41.3 eV per formula unit
# total magnetic moment = 2.0 μB per formula unit


# 2
# PBE with a Hubbard U CrP2O6, optimized geometry
data_CrP2O6
_cell_length_a 7.333
_cell_length_b 9.348
_cell_length_c 13.726
_cell_angle_alpha 90.00
_cell_angle_beta 90.00
_cell_angle_gamma 90.00
_symmetry_space_group_name_H-M 'P 1'
_symmetry_Int_Tables_number 1
_symmetry_space_group_name_Hall 'P 1'
loop_
_atom_site_label
_atom_site_type_symbol
_atom_site_fract_x
_atom_site_fract_y
_atom_site_fract_z
O1 O 0.147 0.688 0.912
O2 O 0.980 0.824 0.124
O3 O 0.020 0.176 0.876
O4 O 0.875 0.642 0.388
O5 O 0.647 0.688 0.588
P1 P 0.328 0.780 0.895
O6 O 0.853 0.312 0.088
P2 P 0.930 0.795 0.400
O7 O 0.625 0.358 0.888
Cr1 Cr 0.449 0.008 0.717
O8 O 0.125 0.358 0.612
Cr2 Cr 0.551 0.992 0.283
O9 O 0.623 0.097 0.822
O10 O 0.791 0.896 0.679
P3 P 0.828 0.780 0.605
O11 O 0.791 0.604 0.179
O12 O 0.143 0.142 0.498
Cr3 Cr 0.949 0.492 0.283
O13 O 0.647 0.812 0.088
O14 O 0.875 0.858 0.888
O15 O 0.377 0.903 0.178
P4 P 0.430 0.795 0.100
O16 O 0.643 0.358 0.502
O17 O 0.980 0.676 0.624
O18 O 0.209 0.396 0.821
P5 P 0.672 0.220 0.105
O19 O 0.020 0.324 0.376
O20 O 0.125 0.142 0.112
O21 O 0.353 0.188 0.912
O22 O 0.623 0.403 0.322
P6 P 0.070 0.295 0.100
O23 O 0.209 0.104 0.321
O24 O 0.375 0.642 0.112
O25 O 0.357 0.858 0.998
O26 O 0.520 0.324 0.124
O27 O 0.709 0.396 0.679
O28 O 0.853 0.188 0.588
P7 P 0.070 0.205 0.600
Cr4 Cr 0.949 0.008 0.783
O29 O 0.857 0.642 0.002
O30 O 0.377 0.597 0.678
O31 O 0.123 0.097 0.678
P8 P 0.570 0.205 0.900
O32 O 0.877 0.597 0.822
O33 O 0.643 0.142 0.002
P9 P 0.930 0.705 0.900
O34 O 0.625 0.142 0.388
Cr5 Cr 0.051 0.992 0.217
P10 P 0.172 0.280 0.895
Cr6 Cr 0.051 0.508 0.717
P11 P 0.172 0.220 0.395
O35 O 0.480 0.676 0.876
O36 O 0.291 0.604 0.321
Cr7 Cr 0.449 0.492 0.217
P12 P 0.570 0.295 0.400
P13 P 0.430 0.705 0.600
O37 O 0.143 0.358 0.998
Cr8 Cr 0.551 0.508 0.783
O38 O 0.709 0.104 0.179
P14 P 0.328 0.720 0.395
O39 O 0.520 0.176 0.624
O40 O 0.353 0.312 0.412
O41 O 0.857 0.858 0.502
O42 O 0.357 0.642 0.498
O43 O 0.123 0.403 0.178
O44 O 0.877 0.903 0.322
O45 O 0.375 0.858 0.612
P15 P 0.828 0.720 0.105
P16 P 0.672 0.280 0.605
O46 O 0.147 0.812 0.412
O47 O 0.480 0.824 0.376
O48 O 0.291 0.896 0.821
# energy above the most stable polymorph in this dataset = 14 meV/atom
# ΔE_f = -22.8 eV per formula unit
# total magnetic moment = 4.0 μB per formula unit


# 3
# PBE with a Hubbard U RbCrP2O7, optimized geometry
data_RbCrP2O7
_cell_length_a 10.067
_cell_length_b 7.599
_cell_length_c 8.373
_cell_angle_alpha 74.01
_cell_angle_beta 90.00
_cell_angle_gamma 90.00
_symmetry_space_group_name_H-M 'P 1'
_symmetry_Int_Tables_number 1
_symmetry_space_group_name_Hall 'P 1'
loop_
_atom_site_label
_atom_site_type_symbol
_atom_site_fract_x
_atom_site_fract_y
_atom_site_fract_z
O1 O 0.605 0.320 0.489
O2 O 0.089 0.853 0.515
Cr1 Cr 0.399 0.762 0.260
O3 O 0.411 0.853 0.015
O4 O 0.446 0.671 0.806
O5 O 0.220 0.555 0.741
Rb1 Rb 0.688 0.814 0.549
O6 O 0.589 0.147 0.985
P1 P 0.867 0.433 0.812
O7 O 0.395 0.680 0.511
O8 O 0.895 0.320 0.989
O9 O 0.925 0.627 0.768
Cr2 Cr 0.101 0.762 0.760
P2 P 0.133 0.567 0.188
O10 O 0.264 0.913 0.758
P3 P 0.096 0.869 0.332
O11 O 0.236 0.913 0.258
O12 O 0.499 0.991 0.274
Rb2 Rb 0.812 0.814 0.049
O13 O 0.720 0.445 0.759
P4 P 0.596 0.131 0.168
P5 P 0.904 0.131 0.668
O14 O 0.001 0.991 0.774
O15 O 0.280 0.555 0.241
O16 O 0.946 0.329 0.694
O17 O 0.575 0.627 0.268
O18 O 0.054 0.671 0.306
O19 O 0.075 0.373 0.232
O20 O 0.736 0.087 0.242
O21 O 0.501 0.009 0.726
O22 O 0.780 0.445 0.259
O23 O 0.105 0.680 0.011
O24 O 0.554 0.329 0.194
Cr3 Cr 0.601 0.238 0.740
O25 O 0.764 0.087 0.742
O26 O 0.999 0.009 0.226
O27 O 0.425 0.373 0.732
P6 P 0.633 0.433 0.312
Rb3 Rb 0.312 0.186 0.451
Rb4 Rb 0.188 0.186 0.951
P7 P 0.367 0.567 0.688
O28 O 0.911 0.147 0.485
P8 P 0.404 0.869 0.832
Cr4 Cr 0.899 0.238 0.240
# ΔE_f = -29.5 eV per formula unit
# total magnetic moment = 3.0 μB per formula unit


# 4
# PBE with a Hubbard U Cr3SbP6O24, optimized geometry
data_Cr3SbP6O24
_cell_length_a 8.817
_cell_length_b 8.817
_cell_length_c 8.817
_cell_angle_alpha 58.28
_cell_angle_beta 58.28
_cell_angle_gamma 58.28
_symmetry_space_group_name_H-M 'P 1'
_symmetry_Int_Tables_number 1
_symmetry_space_group_name_Hall 'P 1'
loop_
_atom_site_label
_atom_site_type_symbol
_atom_site_fract_x
_atom_site_fract_y
_atom_site_fract_z
O1 O 0.507 0.137 0.278
O2 O 0.782 0.424 0.566
O3 O 0.936 0.077 0.720
O4 O 0.981 0.228 0.366
O5 O 0.635 0.008 0.782
O6 O 0.057 0.923 0.281
Cr1 Cr 0.644 0.644 0.644
O7 O 0.720 0.494 0.863
O8 O 0.077 0.720 0.936
O9 O 0.008 0.782 0.635
P1 P 0.468 0.034 0.747
O10 O 0.440 0.215 0.575
O11 O 0.720 0.936 0.077
Sb1 Sb 0.143 0.143 0.143
P2 P 0.251 0.539 0.964
Cr2 Cr 0.358 0.358 0.358
O12 O 0.137 0.278 0.507
P3 P 0.034 0.747 0.468
O13 O 0.424 0.566 0.782
O14 O 0.566 0.782 0.424
Cr3 Cr 0.857 0.857 0.857
O15 O 0.863 0.720 0.494
P4 P 0.539 0.964 0.251
O16 O 0.281 0.057 0.923
O17 O 0.782 0.635 0.008
P5 P 0.964 0.251 0.539
O18 O 0.575 0.440 0.215
O19 O 0.494 0.863 0.720
O20 O 0.278 0.507 0.137
O21 O 0.228 0.366 0.981
O22 O 0.215 0.575 0.440
P6 P 0.747 0.468 0.034
O23 O 0.366 0.981 0.228
O24 O 0.923 0.281 0.057
# ΔE_f = -79.4 eV per formula unit
# total magnetic moment = 1.0 μB per formula unit


# 5
# PBE with a Hubbard U CrSb3P6O24, optimized geometry
data_CrSb3P6O24
_cell_length_a 8.889
_cell_length_b 8.889
_cell_length_c 8.889
_cell_angle_alpha 58.02
_cell_angle_beta 58.02
_cell_angle_gamma 58.02
_symmetry_space_group_name_H-M 'P 1'
_symmetry_Int_Tables_number 1
_symmetry_space_group_name_Hall 'P 1'
loop_
_atom_site_label
_atom_site_type_symbol
_atom_site_fract_x
_atom_site_fract_y
_atom_site_fract_z
O1 O 0.424 0.561 0.781
O2 O 0.723 0.488 0.867
P1 P 0.963 0.249 0.533
Sb1 Sb 0.857 0.857 0.857
O3 O 0.561 0.781 0.424
O4 O 0.867 0.723 0.488
P2 P 0.249 0.533 0.963
O5 O 0.940 0.076 0.720
Sb2 Sb 0.644 0.644 0.644
O6 O 0.573 0.444 0.218
O7 O 0.720 0.940 0.076
O8 O 0.366 0.989 0.224
O9 O 0.516 0.132 0.275
O10 O 0.636 0.014 0.772
O11 O 0.132 0.275 0.516
O12 O 0.224 0.366 0.989
O13 O 0.989 0.224 0.366
O14 O 0.444 0.218 0.573
O15 O 0.781 0.424 0.561
P3 P 0.533 0.963 0.249
O16 O 0.283 0.060 0.924
O17 O 0.275 0.516 0.132
O18 O 0.060 0.924 0.283
Cr1 Cr 0.143 0.143 0.143
P4 P 0.754 0.457 0.039
P5 P 0.457 0.039 0.754
O19 O 0.218 0.573 0.444
Sb3 Sb 0.356 0.356 0.356
O20 O 0.772 0.636 0.014
O21 O 0.076 0.720 0.940
O22 O 0.924 0.283 0.060
P6 P 0.039 0.754 0.457
O23 O 0.014 0.772 0.636
O24 O 0.488 0.867 0.723
# ΔE_f = -80.3 eV per formula unit
# total magnetic moment = 1.0 μB per formula unit


# 6
# PBE with a Hubbard U Ti3Cr2SbP6O24, optimized geometry
data_Ti3Cr2SbP6O24
_cell_length_a 8.715
_cell_length_b 8.715
_cell_length_c 8.715
_cell_angle_alpha 60.17
_cell_angle_beta 60.17
_cell_angle_gamma 60.17
_symmetry_space_group_name_H-M 'P 1'
_symmetry_Int_Tables_number 1
_symmetry_space_group_name_Hall 'P 1'
loop_
_atom_site_label
_atom_site_type_symbol
_atom_site_fract_x
_atom_site_fract_y
_atom_site_fract_z
O1 O 0.553 0.421 0.764
O2 O 0.253 0.915 0.061
O3 O 0.764 0.553 0.421
O4 O 0.590 0.804 0.038
P1 P 0.750 0.051 0.442
O5 O 0.384 0.191 0.998
O6 O 0.879 0.500 0.700
O7 O 0.915 0.061 0.253
O8 O 0.728 0.107 0.955
O9 O 0.191 0.998 0.384
Ti1 Ti 0.646 0.646 0.646
O10 O 0.038 0.590 0.804
O11 O 0.414 0.588 0.240
P2 P 0.051 0.442 0.750
O12 O 0.700 0.879 0.500
Ti2 Ti 0.145 0.145 0.145
O13 O 0.804 0.038 0.590
Cr1 Cr 0.498 0.498 0.498
O14 O 0.476 0.338 0.111
P3 P 0.957 0.536 0.261
O15 O 0.955 0.728 0.107
O16 O 0.421 0.764 0.553
O17 O 0.500 0.700 0.879
P4 P 0.442 0.750 0.051
O18 O 0.111 0.476 0.338
Ti3 Ti 0.353 0.353 0.353
O19 O 0.107 0.955 0.728
O20 O 0.338 0.111 0.476
O21 O 0.588 0.240 0.414
Cr2 Cr 0.001 0.001 0.001
P5 P 0.261 0.957 0.536
P6 P 0.536 0.261 0.957
O22 O 0.061 0.253 0.915
O23 O 0.998 0.384 0.191
Sb1 Sb 0.852 0.852 0.852
O24 O 0.240 0.414 0.588
# ΔE_f = -97.7 eV per formula unit
# total magnetic moment = 9.0 μB per formula unit


# 7
# PBE with a Hubbard U V3CrSb2P6O24, optimized geometry
data_V3CrSb2P6O24
_cell_length_a 8.868
_cell_length_b 8.868
_cell_length_c 8.868
_cell_angle_alpha 58.83
_cell_angle_beta 58.83
_cell_angle_gamma 58.83
_symmetry_space_group_name_H-M 'P 1'
_symmetry_Int_Tables_number 1
_symmetry_space_group_name_Hall 'P 1'
loop_
_atom_site_label
_atom_site_type_symbol
_atom_site_fract_x
_atom_site_fract_y
_atom_site_fract_z
P1 P 0.537 0.962 0.250
O1 O 0.009 0.802 0.616
O2 O 0.700 0.490 0.884
O3 O 0.233 0.585 0.437
O4 O 0.560 0.768 0.416
O5 O 0.992 0.199 0.382
O6 O 0.084 0.731 0.939
O7 O 0.585 0.437 0.233
O8 O 0.199 0.382 0.992
O9 O 0.382 0.992 0.199
O10 O 0.437 0.233 0.585
O11 O 0.802 0.616 0.009
O12 O 0.616 0.009 0.802
O13 O 0.731 0.939 0.084
P2 P 0.250 0.537 0.962
Sb1 Sb 0.502 0.502 0.502
Cr1 Cr 0.146 0.146 0.146
O14 O 0.918 0.266 0.061
O15 O 0.490 0.884 0.700
O16 O 0.416 0.560 0.768
P3 P 0.040 0.751 0.460
P4 P 0.962 0.250 0.537
V1 V 0.354 0.354 0.354
P5 P 0.460 0.040 0.751
O17 O 0.884 0.700 0.490
Sb2 Sb 0.000 0.000 0.000
O18 O 0.768 0.416 0.560
O19 O 0.939 0.084 0.731
P6 P 0.751 0.460 0.040
O20 O 0.507 0.116 0.302
O21 O 0.266 0.061 0.918
O22 O 0.302 0.507 0.116
O23 O 0.116 0.302 0.507
O24 O 0.061 0.918 0.266
V2 V 0.647 0.647 0.647
V3 V 0.854 0.854 0.854
# ΔE_f = -90.3 eV per formula unit
# total magnetic moment = 9.0 μB per formula unit


# 8
# PBE with a Hubbard U CrSn3P6O24, optimized geometry
data_CrSn3P6O24
_cell_length_a 8.959
_cell_length_b 8.959
_cell_length_c 8.959
_cell_angle_alpha 58.13
_cell_angle_beta 58.13
_cell_angle_gamma 58.13
_symmetry_space_group_name_H-M 'P 1'
_symmetry_Int_Tables_number 1
_symmetry_space_group_name_Hall 'P 1'
loop_
_atom_site_label
_atom_site_type_symbol
_atom_site_fract_x
_atom_site_fract_y
_atom_site_fract_z
O1 O 0.263 0.131 0.524
O2 O 0.217 0.987 0.375
O3 O 0.455 0.577 0.214
O4 O 0.920 0.060 0.291
O5 O 0.787 0.994 0.643
P1 P 0.543 0.244 0.961
O6 O 0.060 0.291 0.920
O7 O 0.375 0.217 0.987
O8 O 0.987 0.375 0.217
O9 O 0.994 0.643 0.787
O10 O 0.779 0.575 0.409
O11 O 0.214 0.455 0.577
Sn1 Sn 0.643 0.643 0.643
O12 O 0.064 0.929 0.721
P2 P 0.468 0.750 0.036
O13 O 0.575 0.409 0.779
Cr1 Cr 0.857 0.857 0.857
O14 O 0.577 0.214 0.455
Sn2 Sn 0.358 0.358 0.358
P3 P 0.750 0.036 0.468
P4 P 0.961 0.543 0.244
O15 O 0.721 0.871 0.490
Sn3 Sn 0.143 0.143 0.143
O16 O 0.929 0.721 0.064
O17 O 0.643 0.787 0.994
O18 O 0.131 0.524 0.263
O19 O 0.291 0.920 0.060
O20 O 0.490 0.721 0.871
O21 O 0.524 0.263 0.131
O22 O 0.871 0.490 0.721
P5 P 0.036 0.468 0.750
O23 O 0.721 0.064 0.929
P6 P 0.244 0.961 0.543
O24 O 0.409 0.779 0.575
# ΔE_f = -79.8 eV per formula unit
# total magnetic moment = 0.0 μB per formula unit


# 9
# PBE with a Hubbard U Ti3CrSn2P6O24, optimized geometry
data_Ti3CrSn2P6O24
_cell_length_a 9.012
_cell_length_b 9.012
_cell_length_c 9.012
_cell_angle_alpha 57.24
_cell_angle_beta 57.24
_cell_angle_gamma 57.24
_symmetry_space_group_name_H-M 'P 1'
_symmetry_Int_Tables_number 1
_symmetry_space_group_name_Hall 'P 1'
loop_
_atom_site_label
_atom_site_type_symbol
_atom_site_fract_x
_atom_site_fract_y
_atom_site_fract_z
O1 O 0.923 0.278 0.060
O2 O 0.278 0.060 0.923
P1 P 0.751 0.462 0.039
O3 O 0.222 0.576 0.439
Ti1 Ti 0.853 0.853 0.853
P2 P 0.462 0.039 0.751
O4 O 0.626 0.006 0.789
O5 O 0.496 0.875 0.710
Sn1 Sn 0.003 0.003 0.003
P3 P 0.962 0.250 0.535
O6 O 0.564 0.779 0.423
P4 P 0.039 0.751 0.462
O7 O 0.939 0.078 0.720
Sn2 Sn 0.501 0.501 0.501
Ti2 Ti 0.649 0.649 0.649
Ti3 Ti 0.351 0.351 0.351
O8 O 0.006 0.789 0.626
O9 O 0.789 0.626 0.006
O10 O 0.779 0.423 0.564
O11 O 0.875 0.710 0.496
O12 O 0.710 0.496 0.875
O13 O 0.720 0.939 0.078
O14 O 0.372 0.989 0.216
O15 O 0.439 0.222 0.576
O16 O 0.989 0.216 0.372
O17 O 0.288 0.503 0.128
O18 O 0.576 0.439 0.222
P5 P 0.535 0.962 0.250
O19 O 0.078 0.720 0.939
O20 O 0.060 0.923 0.278
O21 O 0.503 0.128 0.288
P6 P 0.250 0.535 0.962
O22 O 0.216 0.372 0.989
O23 O 0.128 0.288 0.503
Cr1 Cr 0.147 0.147 0.147
O24 O 0.423 0.564 0.779
# ΔE_f = -100.3 eV per formula unit
# total magnetic moment = 4.0 μB per formula unit